(1)
VASP calculation (PBE) on a relaxed Ba3UIn2O9 crystal.

Values from the calculation:
Symmetry: No. 71
Relative energy among the computed polymorphs, meV/atom: 0

The structure in POSCAR format:
```
Ba3UIn2O9
1.0
-3.042 4.314 9.162
3.042 -4.314 9.162
3.042 4.314 -9.162
Ba U In O
6 2 4 18
Cartesian
3.042 2.048 -2.866
0.000 1.965 0.000
3.042 2.048 2.866
0.000 2.267 6.296
0.000 6.664 0.000
0.000 2.267 12.028
3.042 0.000 6.081
0.000 4.314 3.081
3.042 0.000 0.000
0.000 0.000 3.054
0.000 0.000 9.162
0.000 0.000 15.269
1.526 0.000 1.564
4.559 0.000 1.564
3.042 -2.090 6.076
1.560 0.000 4.611
4.525 0.000 4.611
3.042 2.205 0.000
1.476 4.314 -1.608
1.566 0.000 7.554
0.000 2.225 3.086
3.042 2.090 6.076
1.476 4.314 1.608
1.566 0.000 10.769
0.000 2.109 9.162
-1.482 4.314 4.551
1.482 4.314 4.551
0.000 6.404 3.086
-1.516 4.314 7.598
1.516 4.314 7.598
```

---

(2)
VASP calculation (PBE) on a relaxed Ba2ZrInO6 crystal.

Values from the calculation:
Symmetry: No. 225

The structure in POSCAR format:
```
Ba2ZrInO6
1.0
0.000 4.281 4.281
4.281 0.000 4.281
4.281 4.281 0.000
Ba Zr In O
2 1 1 6
Cartesian
2.141 2.141 2.141
6.422 6.422 6.422
0.000 0.000 0.000
4.281 4.281 4.281
4.281 4.281 2.108
4.281 2.108 4.281
6.454 4.281 4.281
2.108 4.281 4.281
4.281 6.454 4.281
4.281 4.281 6.454
```

---

(3)
VASP calculation (PBE) on a relaxed Ba2In5P5 crystal.

Values from the calculation:
Symmetry: No. 62

The structure in POSCAR format:
```
Ba2In5P5
1.0
17.494 0.000 0.000
0.000 4.231 0.000
0.000 0.000 17.718
Ba In P
8 20 20
Cartesian
0.344 1.058 2.143
0.742 1.058 11.156
8.005 3.174 2.297
8.403 3.174 11.002
9.091 1.058 6.716
9.489 1.058 15.422
16.752 3.174 6.563
17.150 3.174 15.575
2.740 1.058 5.496
2.962 3.174 8.373
2.998 1.058 16.673
3.257 3.174 13.758
3.683 3.174 2.234
5.064 1.058 11.093
5.490 1.058 4.898
5.749 3.174 7.814
5.785 1.058 17.232
6.007 3.174 14.355
11.488 1.058 3.363
11.709 3.174 0.486
11.745 1.058 9.904
12.004 3.174 12.820
12.430 3.174 6.625
13.811 1.058 15.484
14.238 1.058 3.961
14.496 3.174 1.045
14.532 1.058 9.345
14.754 3.174 12.222
1.453 1.058 7.819
1.815 1.058 14.327
1.888 3.174 4.165
2.015 3.174 0.206
3.454 3.174 11.070
5.293 1.058 2.211
6.732 1.058 9.065
6.859 1.058 13.024
6.932 3.174 5.468
7.294 3.174 16.678
10.201 1.058 1.041
10.562 1.058 12.251
10.635 3.174 4.694
10.762 3.174 8.653
12.201 3.174 15.507
14.040 1.058 6.648
15.479 1.058 17.513
15.606 1.058 13.553
15.679 3.174 3.391
16.041 3.174 9.900
```

---

(4)
VASP calculation (PBE) on a relaxed BaIn2Pt crystal.

Values from the calculation:
Symmetry: No. 63

The structure in POSCAR format:
```
BaIn2Pt
1.0
2.293 -5.910 0.000
2.293 5.910 0.000
0.000 0.000 8.152
Ba In Pt
2 4 2
Cartesian
2.293 5.287 6.114
2.293 -5.287 2.038
2.293 1.928 4.535
2.293 1.928 7.692
2.293 -1.928 0.460
2.293 -1.928 3.616
2.293 3.261 2.038
2.293 -3.261 6.114
```

---

Number 1: energy of formation -2.9716 eV/atom, final energy -7.032 eV/atom. Number 2: energy of formation -2.9109 eV/atom, final energy -6.981 eV/atom. Number 3: energy of formation -0.4935 eV/atom, final energy -4.215 eV/atom. Number 4: energy of formation -0.6300 eV/atom, final energy -4.003 eV/atom.